A plane-wave DFT calculation with PBE was carried out for crystalline CeP2Pt2 at its relaxed geometry.

M_tot ... 0.9 μB per formula unit

Cell lengths 10.100, 10.100, 10.100 Å; angles 155.42, 155.42, 35.04 degrees
Fractional positions:
Ce: 0.373 0.373 0.000
Ce: 0.627 0.627 0.000
P: 0.070 0.070 0.000
P: 0.930 0.930 0.000
P: 0.750 0.250 0.500
P: 0.250 0.750 0.500
Pt: 0.193 0.193 0.000
Pt: 0.807 0.807 0.000
Pt: 0.500 0.000 0.500
Pt: 0.000 0.500 0.500

A plane-wave DFT calculation with PBE was carried out for crystalline CeP2Pt4 at its relaxed geometry.

Cell lengths 4.200, 7.407, 15.566 Å; angles 90.00, 90.00, 90.00 degrees
Fractional positions:
Ce: 0.250 0.853 0.182
Ce: 0.750 0.147 0.818
Ce: 0.250 0.353 0.318
Ce: 0.750 0.647 0.682
P: 0.250 0.310 0.691
P: 0.250 0.786 0.556
P: 0.750 0.214 0.444
P: 0.750 0.190 0.191
P: 0.250 0.810 0.809
P: 0.250 0.286 0.944
P: 0.750 0.714 0.056
P: 0.750 0.690 0.309
Pt: 0.250 0.980 0.682
Pt: 0.250 0.480 0.818
Pt: 0.750 0.373 0.997
Pt: 0.750 0.738 0.876
Pt: 0.750 0.528 0.442
Pt: 0.750 0.238 0.624
Pt: 0.750 0.520 0.182
Pt: 0.750 0.028 0.058
Pt: 0.250 0.762 0.376
Pt: 0.250 0.262 0.124
Pt: 0.250 0.972 0.942
Pt: 0.250 0.127 0.497
Pt: 0.750 0.873 0.503
Pt: 0.750 0.020 0.318
Pt: 0.250 0.627 0.003
Pt: 0.250 0.472 0.558

A plane-wave DFT calculation with PBE was carried out for crystalline Rb3CeP2Se8 at its relaxed geometry.

M_tot ... 0.0 μB per formula unit

Cell lengths 9.688, 10.244, 18.398 Å; angles 90.00, 90.00, 90.85 degrees
Fractional positions:
Rb: 0.390 0.367 0.294
Rb: 0.237 0.017 0.965
Rb: 0.763 0.983 0.035
Rb: 0.902 0.359 0.211
Rb: 0.902 0.859 0.289
Rb: 0.610 0.133 0.794
Rb: 0.763 0.483 0.465
Rb: 0.610 0.633 0.706
Rb: 0.390 0.867 0.206
Rb: 0.237 0.517 0.535
Rb: 0.098 0.641 0.789
Rb: 0.098 0.141 0.711
Ce: 0.273 0.974 0.487
Ce: 0.727 0.526 0.987
Ce: 0.273 0.474 0.013
Ce: 0.727 0.026 0.513
P: 0.502 0.761 0.397
P: 0.502 0.261 0.103
P: 0.027 0.222 0.402
P: 0.973 0.278 0.902
P: 0.498 0.739 0.897
P: 0.973 0.778 0.598
P: 0.498 0.239 0.603
P: 0.027 0.722 0.098
Se: 0.960 0.325 0.022
Se: 0.826 0.410 0.846
Se: 0.826 0.910 0.654
Se: 0.556 0.750 0.515
Se: 0.073 0.426 0.375
Se: 0.384 0.355 0.682
Se: 0.532 0.477 0.119
Se: 0.616 0.145 0.182
Se: 0.616 0.645 0.318
Se: 0.275 0.231 0.112
Se: 0.810 0.664 0.128
Se: 0.073 0.926 0.125
Se: 0.927 0.074 0.875
Se: 0.810 0.164 0.372
Se: 0.040 0.175 0.522
Se: 0.960 0.825 0.478
Se: 0.174 0.590 0.154
Se: 0.190 0.836 0.628
Se: 0.927 0.574 0.625
Se: 0.040 0.675 0.978
Se: 0.725 0.269 0.612
Se: 0.468 0.523 0.881
Se: 0.532 0.977 0.381
Se: 0.444 0.250 0.485
Se: 0.275 0.731 0.388
Se: 0.725 0.769 0.888
Se: 0.444 0.750 0.015
Se: 0.384 0.855 0.818
Se: 0.556 0.250 0.985
Se: 0.468 0.023 0.619
Se: 0.174 0.090 0.346
Se: 0.190 0.336 0.872

A plane-wave DFT calculation with PBE was carried out for crystalline CeP2Rh2 at its relaxed geometry.

Cell lengths 4.159, 4.159, 9.551 Å; angles 90.00, 90.00, 90.00 degrees
Fractional positions:
Ce: 0.500 0.000 0.744
Ce: 0.000 0.500 0.256
P: 0.500 0.500 0.500
P: 0.500 0.000 0.139
P: 0.000 0.000 0.500
P: 0.000 0.500 0.861
Rh: 0.000 0.500 0.614
Rh: 0.500 0.000 0.386
Rh: 0.000 0.000 0.000
Rh: 0.500 0.500 0.000

A plane-wave DFT calculation with PBE was carried out for crystalline CeTlP2S6 at its relaxed geometry.

M_tot ... 1.0 μB per formula unit

Cell lengths 7.547, 11.472, 12.189 Å; angles 70.53, 90.00, 90.00 degrees
Fractional positions:
Ce: 0.893 0.402 0.352
Ce: 0.393 0.098 0.648
Ce: 0.107 0.598 0.648
Ce: 0.607 0.902 0.352
Tl: 0.091 0.126 0.127
Tl: 0.591 0.374 0.873
Tl: 0.909 0.874 0.873
Tl: 0.409 0.626 0.127
P: 0.622 0.229 0.212
P: 0.122 0.271 0.788
P: 0.378 0.771 0.788
P: 0.878 0.729 0.212
P: 0.900 0.255 0.672
P: 0.400 0.245 0.328
P: 0.100 0.745 0.328
P: 0.600 0.755 0.672
S: 0.213 0.355 0.224
S: 0.713 0.145 0.776
S: 0.787 0.645 0.776
S: 0.287 0.855 0.224
S: 0.527 0.128 0.119
S: 0.027 0.372 0.881
S: 0.473 0.872 0.881
S: 0.973 0.628 0.119
S: 0.518 0.314 0.445
S: 0.018 0.186 0.555
S: 0.482 0.686 0.555
S: 0.982 0.814 0.445
S: 0.808 0.134 0.328
S: 0.308 0.366 0.672
S: 0.192 0.866 0.672
S: 0.692 0.634 0.328
S: 0.815 0.432 0.590
S: 0.315 0.068 0.410
S: 0.185 0.568 0.410
S: 0.685 0.932 0.590
S: 0.711 0.403 0.133
S: 0.211 0.097 0.867
S: 0.289 0.597 0.867
S: 0.789 0.903 0.133

A plane-wave DFT calculation with PBE was carried out for crystalline CeSiP3 at its relaxed geometry.

M_tot ... 0.0 μB per formula unit

Cell lengths 5.672, 5.858, 24.574 Å; angles 90.00, 90.00, 90.00 degrees
Fractional positions:
Ce: 0.753 0.525 0.095
Ce: 0.753 0.025 0.405
Ce: 0.253 0.975 0.595
Ce: 0.254 0.022 0.087
Ce: 0.754 0.478 0.587
Ce: 0.253 0.475 0.905
Ce: 0.254 0.522 0.413
Ce: 0.754 0.978 0.913
Si: 0.340 0.557 0.705
Si: 0.840 0.943 0.205
Si: 0.835 0.384 0.792
Si: 0.835 0.884 0.708
Si: 0.340 0.057 0.795
Si: 0.335 0.616 0.208
Si: 0.335 0.116 0.292
Si: 0.840 0.443 0.295
P: 0.749 0.530 0.379
P: 0.726 0.583 0.215
P: 0.249 0.970 0.879
P: 0.230 0.981 0.210
P: 0.730 0.519 0.710
P: 0.556 0.808 0.499
P: 0.249 0.470 0.621
P: 0.749 0.030 0.121
P: 0.969 0.312 0.003
P: 0.469 0.188 0.503
P: 0.749 0.986 0.625
P: 0.230 0.481 0.290
P: 0.056 0.692 0.999
P: 0.726 0.083 0.285
P: 0.249 0.514 0.125
P: 0.749 0.486 0.875
P: 0.226 0.417 0.785
P: 0.226 0.917 0.715
P: 0.056 0.192 0.501
P: 0.249 0.014 0.375
P: 0.556 0.308 0.001
P: 0.969 0.812 0.497
P: 0.730 0.019 0.790
P: 0.469 0.688 0.997

A plane-wave DFT calculation with PBE was carried out for crystalline CePa3 at its relaxed geometry.

Cell lengths 4.653, 4.653, 4.653 Å; angles 90.00, 90.00, 90.00 degrees
Fractional positions:
Ce: 0.000 0.000 0.000
Pa: 0.000 0.500 0.500
Pa: 0.500 0.000 0.500
Pa: 0.500 0.500 0.000

A plane-wave DFT calculation with PBE was carried out for crystalline Ce3Pa at its relaxed geometry.

M_tot ... 0.0 μB per formula unit

Cell lengths 6.506, 6.506, 5.666 Å; angles 90.00, 90.00, 120.00 degrees
Fractional positions:
Ce: 0.830 0.170 0.750
Ce: 0.340 0.170 0.750
Ce: 0.830 0.660 0.750
Ce: 0.170 0.830 0.250
Ce: 0.660 0.830 0.250
Ce: 0.170 0.340 0.250
Pa: 0.667 0.333 0.250
Pa: 0.333 0.667 0.750

A plane-wave DFT calculation with PBE was carried out for crystalline CePb2 at its relaxed geometry.

M_tot ... 0.6 μB per formula unit

Cell lengths 8.195, 8.195, 8.195 Å; angles 156.09, 156.09, 34.06 degrees
Fractional positions:
Ce: 0.000 0.000 0.000
Pb: 0.341 0.341 0.000
Pb: 0.659 0.659 0.000

A plane-wave DFT calculation with PBE was carried out for crystalline CePb3 at its relaxed geometry.

Cell lengths 4.890, 4.890, 4.890 Å; angles 90.00, 90.00, 90.00 degrees
Fractional positions:
Ce: 0.000 0.000 0.000
Pb: 0.000 0.500 0.500
Pb: 0.500 0.500 0.000
Pb: 0.500 0.000 0.500

A plane-wave DFT calculation with PBE was carried out for crystalline Ce3Pb at its relaxed geometry.

Cell lengths 4.846, 4.846, 4.846 Å; angles 90.00, 90.00, 90.00 degrees
Fractional positions:
Ce: 0.000 0.500 0.500
Ce: 0.500 0.000 0.500
Ce: 0.500 0.500 0.000
Pb: 0.000 0.000 0.000

A plane-wave DFT calculation with PBE was carried out for crystalline Ce8Pd24Pb at its relaxed geometry.

M_tot ... 5.7 μB per formula unit

Cell lengths 8.514, 8.514, 8.514 Å; angles 90.00, 90.00, 90.00 degrees
Fractional positions:
Ce: 0.248 0.248 0.248
Ce: 0.752 0.752 0.752
Ce: 0.752 0.752 0.248
Ce: 0.752 0.248 0.752
Ce: 0.248 0.248 0.752
Ce: 0.248 0.752 0.248
Ce: 0.248 0.752 0.752
Ce: 0.752 0.248 0.248
Pd: 0.268 0.500 0.000
Pd: 0.732 0.500 0.000
Pd: 0.000 0.268 0.500
Pd: 0.500 0.268 0.000
Pd: 0.000 0.732 0.500
Pd: 0.500 0.732 0.000
Pd: 0.500 0.000 0.268
Pd: 0.268 0.000 0.500
Pd: 0.500 0.000 0.732
Pd: 0.732 0.000 0.500
Pd: 0.000 0.500 0.268
Pd: 0.000 0.500 0.732
Pd: 0.255 0.500 0.500
Pd: 0.745 0.500 0.500
Pd: 0.500 0.255 0.500
Pd: 0.500 0.745 0.500
Pd: 0.500 0.500 0.255
Pd: 0.500 0.500 0.745
Pd: 0.322 0.000 0.000
Pd: 0.678 0.000 0.000
Pd: 0.000 0.322 0.000
Pd: 0.000 0.678 0.000
Pd: 0.000 0.000 0.322
Pd: 0.000 0.000 0.678
Pb: 0.000 0.000 0.000

A plane-wave DFT calculation with PBE was carried out for crystalline Ce2Pd2Pb at its relaxed geometry.

Cell lengths 7.951, 7.951, 3.779 Å; angles 90.00, 90.00, 90.00 degrees
Fractional positions:
Ce: 0.676 0.176 0.500
Ce: 0.176 0.324 0.500
Ce: 0.824 0.676 0.500
Ce: 0.324 0.824 0.500
Pd: 0.374 0.126 0.000
Pd: 0.126 0.626 0.000
Pd: 0.626 0.874 0.000
Pd: 0.874 0.374 0.000
Pb: 0.000 0.000 0.000
Pb: 0.500 0.500 0.000

A plane-wave DFT calculation with PBE was carried out for crystalline Ce2PbS4 at its relaxed geometry.

M_tot ... 2.0 μB per formula unit

Cell lengths 7.550, 7.550, 7.550 Å; angles 109.53, 109.53, 109.34 degrees
Fractional positions:
Ce: 0.875 0.493 0.118
Ce: 0.375 0.757 0.882
Ce: 0.243 0.125 0.618
Ce: 0.507 0.625 0.382
Pb: 0.750 0.250 0.500
Pb: 0.000 0.000 0.000
S: 0.612 0.017 0.747
S: 0.767 0.862 0.247
S: 0.983 0.730 0.595
S: 0.270 0.864 0.253
S: 0.138 0.386 0.905
S: 0.136 0.388 0.405
S: 0.480 0.233 0.095
S: 0.614 0.520 0.753

A plane-wave DFT calculation with PBE was carried out for crystalline Ce2ZnPb at its relaxed geometry.

M_tot ... 1.9 μB per formula unit

Cell lengths 5.395, 5.395, 5.395 Å; angles 60.00, 60.00, 60.00 degrees
Fractional positions:
Ce: 0.750 0.750 0.750
Ce: 0.250 0.250 0.250
Zn: 0.000 0.000 0.000
Pb: 0.500 0.500 0.500

A plane-wave DFT calculation with PBE was carried out for crystalline Ce7Pd3 at its relaxed geometry.

M_tot ... 3.2 μB per formula unit

Cell lengths 6.239, 9.872, 9.872 Å; angles 119.95, 90.00, 90.00 degrees
Fractional positions:
Ce: 0.397 0.334 0.666
Ce: 0.897 0.666 0.334
Ce: 0.244 0.131 0.869
Ce: 0.244 0.737 0.868
Ce: 0.244 0.132 0.263
Ce: 0.744 0.869 0.131
Ce: 0.744 0.263 0.132
Ce: 0.744 0.868 0.737
Ce: 0.479 0.538 0.462
Ce: 0.479 0.923 0.462
Ce: 0.479 0.538 0.077
Ce: 0.979 0.462 0.538
Ce: 0.979 0.077 0.538
Ce: 0.979 0.462 0.923
Pd: 0.198 0.810 0.190
Pd: 0.198 0.381 0.191
Pd: 0.198 0.809 0.619
Pd: 0.698 0.190 0.810
Pd: 0.698 0.619 0.809
Pd: 0.698 0.191 0.381

no.,V (Å³/f.u.),DFT total energy (eV per atom)
1,89.1,-6.738
2,121.0,-6.725
3,456.4,-4.288
4,82.6,-7.419
5,248.7,-5.177
6,102.1,-6.181
7,100.8,-8.571
8,103.8,-6.714
9,90.3,-4.532
10,116.9,-4.624
11,113.8,-5.657
12,617.2,-6.085
13,119.4,-5.926
14,165.7,-6.142
15,111.0,-4.460
16,263.4,-6.065